(1)
! Ca9Mn4Bi9, optimized geometry, DFT GGA-PBE; values from VASP
! * total magnetic moment: 0.02 μB per cell
! * formation enthalpy at 0 K: -0.52 eV/atom
! * space group: Pbam, No. 55
! * calculated volume: 30.6 A^3/atom
&SYSTEM
  ibrav = 0, nat = 44, ntyp = 3
/
ATOMIC_SPECIES
Ca 40.08 Ca.upf
Mn 54.94 Mn.upf
Bi 208.98 Bi.upf
CELL_PARAMETERS angstrom
12.608 0.000 0.000
0.000 22.428 0.000
0.000 0.000 4.768
ATOMIC_POSITIONS angstrom
Ca 0.000 0.000 0.000
Ca 0.777 9.176 2.384
Ca 1.499 5.280 2.384
Ca 1.730 19.341 2.384
Ca 2.719 13.537 0.000
Ca 3.585 2.322 0.000
Ca 4.574 8.127 2.384
Ca 4.805 16.494 2.384
Ca 5.528 20.390 2.384
Ca 6.304 11.214 0.000
Ca 7.081 2.038 2.384
Ca 7.804 5.934 2.384
Ca 8.034 14.301 2.384
Ca 9.023 20.106 0.000
Ca 9.890 8.892 0.000
Ca 10.879 3.087 2.384
Ca 11.109 17.148 2.384
Ca 11.832 13.252 2.384
Mn 1.468 17.062 0.000
Mn 2.783 10.204 0.000
Mn 3.521 21.418 0.000
Mn 4.836 5.848 0.000
Mn 7.773 16.580 0.000
Mn 9.087 1.011 0.000
Mn 9.825 12.225 0.000
Mn 11.140 5.366 0.000
Bi 0.000 11.214 0.000
Bi 0.472 3.292 0.000
Bi 1.567 15.558 2.384
Bi 2.342 7.417 0.000
Bi 2.479 0.123 2.384
Bi 3.825 11.337 2.384
Bi 3.962 18.632 0.000
Bi 4.737 4.344 2.384
Bi 5.832 14.506 0.000
Bi 6.304 0.000 0.000
Bi 6.776 7.922 0.000
Bi 7.872 18.084 2.384
Bi 8.646 3.797 0.000
Bi 8.784 11.091 2.384
Bi 10.129 22.305 2.384
Bi 10.267 15.011 0.000
Bi 11.041 6.870 2.384
Bi 12.136 19.136 0.000

(2)
! Ba2InBiO6, optimized geometry, DFT GGA-PBE; values from VASP
! * total magnetic moment: 0.00 μB per cell
! * formation enthalpy at 0 K: -2.28 eV/atom
! * space group: Fm-3m, No. 225
! * calculated volume: 15.9 A^3/atom
&SYSTEM
  ibrav = 0, nat = 10, ntyp = 4
/
ATOMIC_SPECIES
Ba 137.33 Ba.upf
In 114.82 In.upf
Bi 208.98 Bi.upf
O 16.00 O.upf
CELL_PARAMETERS angstrom
0.000 4.301 4.301
4.301 0.000 4.301
4.301 4.301 0.000
ATOMIC_POSITIONS angstrom
Ba 2.150 2.150 2.150
Ba 6.451 6.451 6.451
In 0.000 0.000 0.000
Bi 4.301 4.301 4.301
O 4.301 4.301 2.168
O 4.301 2.168 4.301
O 6.434 4.301 4.301
O 2.168 4.301 4.301
O 4.301 6.434 4.301
O 4.301 4.301 6.434

(3)
! MnFePd6, optimized geometry, DFT GGA-PBE; values from VASP
! * formation enthalpy at 0 K: -0.18 eV/atom
! * space group: P4/mmm, No. 123
! * calculated volume: 15.1 A^3/atom
&SYSTEM
  ibrav = 0, nat = 8, ntyp = 3
/
ATOMIC_SPECIES
Mn 54.94 Mn.upf
Fe 55.84 Fe.upf
Pd 106.42 Pd.upf
CELL_PARAMETERS angstrom
3.923 0.000 0.000
0.000 3.923 0.000
0.000 0.000 7.839
ATOMIC_POSITIONS angstrom
Mn 0.000 0.000 0.000
Fe 0.000 0.000 3.920
Pd 0.000 1.961 1.980
Pd 0.000 1.961 5.859
Pd 1.961 0.000 1.980
Pd 1.961 0.000 5.859
Pd 1.961 1.961 0.000
Pd 1.961 1.961 3.920

(4)
! CuAu4, optimized geometry, DFT GGA-PBE; values from VASP
! * total magnetic moment: 0.00 μB per cell
! * formation enthalpy at 0 K: 0.01 eV/atom
! * space group: R-3m, No. 166
! * calculated volume: 17.0 A^3/atom
&SYSTEM
  ibrav = 0, nat = 5, ntyp = 2
/
ATOMIC_SPECIES
Cu 63.55 Cu.upf
Au 196.97 Au.upf
CELL_PARAMETERS angstrom
1.465 0.846 11.446
-1.465 0.846 11.446
0.000 -1.692 11.446
ATOMIC_POSITIONS angstrom
Cu 0.000 0.000 0.000
Au 0.000 0.000 6.933
Au 0.000 0.000 13.522
Au 0.000 0.000 20.817
Au 0.000 0.000 27.406